# 1
The following is a PBE-GGA calculation of KNaB2H8 after structural relaxation, from Materials Project.

## Properties
- Spin magnetization: 0.00 μB per formula unit
- Calculated density: 1.14 g cm⁻³

Lattice parameters (Å, degrees): 4.5575 4.5575 22.2554 90.00 90.00 120.00
Space group R3 (No. 146, hexagonal axes)
One atom of each set of equivalent atoms:
K1 0.0000 0.0000 0.0000 (multiplicity 3)
Na1 0.0000 0.0000 0.4960 (multiplicity 3)
B1 0.0000 0.0000 0.2488 (multiplicity 3)
B2 0.0000 0.0000 0.7604 (multiplicity 3)
H1 0.0000 0.0000 0.3041 (multiplicity 3)
H2 0.0000 0.0000 0.8154 (multiplicity 3)
H3 0.0892 0.6868 0.8978 (multiplicity 9)
H4 0.1859 0.3738 0.4083 (multiplicity 9)

---

# 2
The following is a PBE-GGA calculation of Li2La3Ni2Sn7 after structural relaxation, from Materials Project.

## Properties
- Spin magnetization: 0.00 μB per formula unit
- Calculated density: 7.00 g cm⁻³

Lattice parameters (Å, degrees): 5.2205 27.7251 4.5201 90.00 90.00 90.00
Space group Cmmm (No. 65)
One atom of each set of equivalent atoms:
Li1 0.0000 0.1796 0.0000 (multiplicity 4)
La1 0.0000 0.0000 0.5000 (multiplicity 2)
La2 0.0000 0.3159 0.0000 (multiplicity 4)
Ni1 0.0000 0.1318 0.5000 (multiplicity 4)
Sn1 0.0000 0.0866 0.0000 (multiplicity 4)
Sn2 0.0000 0.2248 0.5000 (multiplicity 4)
Sn3 0.0000 0.4096 0.5000 (multiplicity 4)
Sn4 0.0000 0.5000 0.0000 (multiplicity 2)

---

# 3
The following is a PBE-GGA calculation of ErMnGa after structural relaxation, from Materials Project.

## Properties
- Spin magnetization: 2.95 μB per formula unit
- Calculated density: 8.42 g cm⁻³

Lattice parameters (Å, degrees): 8.0084 12.1608 7.0962 90.00 90.00 90.00
Space group Ima2 (No. 46)
One atom of each set of equivalent atoms:
Er1 0.2500 0.0000 0.0000 (multiplicity 4)
Er2 0.2500 0.2023 0.6360 (multiplicity 4)
Er3 0.2500 0.7079 0.1447 (multiplicity 4)
Mn1 0.0000 0.0000 0.6680 (multiplicity 4)
Mn2 0.0021 0.1671 0.9310 (multiplicity 8)
Ga1 0.0047 0.1254 0.3006 (multiplicity 8)
Ga2 0.2500 0.5056 0.9253 (multiplicity 4)

---

# 4
The following is a PBE-GGA calculation of Tm2ZnPt after structural relaxation, from Materials Project.

## Properties
- Calculated density: 11.82 g cm⁻³

Lattice parameters (Å, degrees): 6.9539 6.9539 6.9539 90.00 90.00 90.00
Space group Fm-3m (No. 225)
One atom of each set of equivalent atoms:
Tm1 0.2500 0.2500 0.2500 (multiplicity 8)
Zn1 0.0000 0.0000 0.0000 (multiplicity 4)
Pt1 0.0000 0.0000 0.5000 (multiplicity 4)

---

# 5
The following is a PBE-GGA calculation of Eu2TlCl5 after structural relaxation, from Materials Project.

## Properties
- Calculated density: 5.00 g cm⁻³

Lattice parameters (Å, degrees): 8.9924 7.9427 12.7590 90.00 90.33 90.00
Space group P2_1/c (No. 14)
One atom of each set of equivalent atoms:
Eu1 0.0005 0.0233 0.1784 (multiplicity 4)
Eu2 0.2466 0.5733 0.0065 (multiplicity 4)
Tl1 0.4950 0.5203 0.3253 (multiplicity 4)
Cl1 0.0417 0.1594 0.3999 (multiplicity 4)
Cl2 0.2118 0.1619 0.6833 (multiplicity 4)
Cl3 0.2116 0.5497 0.5028 (multiplicity 4)
Cl4 0.2206 0.6943 0.7850 (multiplicity 4)
Cl5 0.4641 0.1606 0.4127 (multiplicity 4)

---

# 6
The following is a PBE-GGA calculation of Ca3UN4 after structural relaxation, from Materials Project.

## Properties
- Calculated density: 5.75 g cm⁻³

Lattice parameters (Å, degrees): 4.8902 4.8902 10.0082 90.00 90.00 90.00
Space group I4/mmm (No. 139)
One atom of each set of equivalent atoms:
Ca1 0.0000 0.0000 0.0000 (multiplicity 2)
Ca2 0.0000 0.5000 0.2500 (multiplicity 4)
U1 0.0000 0.0000 0.5000 (multiplicity 2)
N1 0.0000 0.0000 0.2982 (multiplicity 4)
N2 0.0000 0.5000 0.0000 (multiplicity 4)

---

# 7
The following is a PBE-GGA calculation of Rb2AgSbS4 after structural relaxation, from Materials Project.

## Properties
- Spin magnetization: 0.00 μB per formula unit
- Calculated density: 3.59 g cm⁻³

Lattice parameters (Å, degrees): 8.3815 10.9925 13.3727 90.00 127.33 90.00
Space group P2_1/c (No. 14)
One atom of each set of equivalent atoms:
Rb1 0.1125 0.0080 0.2374 (multiplicity 4)
Rb2 0.3701 0.7288 0.5106 (multiplicity 4)
Ag1 0.3495 0.5324 0.2202 (multiplicity 4)
Sb1 0.1842 0.2240 0.5402 (multiplicity 4)
S1 0.1400 0.7248 0.1566 (multiplicity 4)
S2 0.1677 0.1833 0.7076 (multiplicity 4)
S3 0.3207 0.0779 0.0623 (multiplicity 4)
S4 0.3893 0.0685 0.5510 (multiplicity 4)

---

# 8
The following is a PBE-GGA calculation of SiO2 after structural relaxation, from Materials Project.

## Properties
- Piezoelectric modulus e_max: 0.14 C/m²
- Calculated density: 2.06 g cm⁻³

Lattice parameters (Å, degrees): 8.7913 8.7913 5.0216 90.00 90.00 90.00
Space group I-4 (No. 82)
One atom of each set of equivalent atoms:
Si1 0.1750 0.3229 0.2312 (multiplicity 8)
O1 0.0043 0.7033 0.1623 (multiplicity 8)
O2 0.2040 0.7732 0.5385 (multiplicity 8)

---

# 9
The following is a PBE-GGA calculation of VPb2N3 after structural relaxation, from Materials Project.

## Properties
- Spin magnetization: 0.00 μB per formula unit
- Calculated density: 7.23 g cm⁻³

Lattice parameters (Å, degrees): 15.2182 5.7547 5.3202 90.00 90.00 90.00
Space group Cmc2_1 (No. 36)
One atom of each set of equivalent atoms:
V1 0.0000 0.1741 0.0000 (multiplicity 4)
Pb1 0.1383 0.2892 0.4817 (multiplicity 8)
N1 0.0000 0.1288 0.3532 (multiplicity 4)
N2 0.0966 0.3255 0.9161 (multiplicity 8)

---

# 10
The following is a PBE-GGA calculation of Te4Mo3WSe2S2 after structural relaxation, from Materials Project.

## Properties
- Spin magnetization: 0.05 μB per formula unit
- Calculated density: 5.16 g cm⁻³

Lattice parameters (Å, degrees): 3.4010 3.4010 38.6524 90.00 90.00 120.00
Space group P3m1 (No. 156)
One atom of each set of equivalent atoms:
Te1 0.0000 0.0000 0.0000 (multiplicity 1)
Te2 0.0000 0.0000 0.0974 (multiplicity 1)
Te3 0.3333 0.6667 0.4367 (multiplicity 1)
Te4 0.3333 0.6667 0.5335 (multiplicity 1)
Mo1 0.0000 0.0000 0.4851 (multiplicity 1)
Mo2 0.0000 0.0000 0.8609 (multiplicity 1)
Mo3 0.3333 0.6667 0.6730 (multiplicity 1)
W1 0.3333 0.6667 0.0487 (multiplicity 1)
Se1 0.0000 0.0000 0.6304 (multiplicity 1)
Se2 0.0000 0.0000 0.7156 (multiplicity 1)
S1 0.3333 0.6667 0.8220 (multiplicity 1)
S2 0.3333 0.6667 0.8997 (multiplicity 1)

---

# 11
The following is a PBE-GGA calculation of Te4Mo3WSe4 after structural relaxation, from Materials Project.

## Properties
- Spin magnetization: 0.00 μB per formula unit
- Calculated density: 5.39 g cm⁻³

Lattice parameters (Å, degrees): 3.4372 3.4372 39.1039 90.00 90.00 120.00
Space group P3m1 (No. 156)
One atom of each set of equivalent atoms:
Te1 0.0000 0.0000 0.0000 (multiplicity 1)
Te2 0.0000 0.0000 0.0950 (multiplicity 1)
Te3 0.3333 0.6667 0.8121 (multiplicity 1)
Te4 0.3333 0.6667 0.9070 (multiplicity 1)
Mo1 0.0000 0.0000 0.4839 (multiplicity 1)
Mo2 0.0000 0.0000 0.8596 (multiplicity 1)
Mo3 0.3333 0.6667 0.0475 (multiplicity 1)
W1 0.3333 0.6667 0.6717 (multiplicity 1)
Se1 0.0000 0.0000 0.6297 (multiplicity 1)
Se2 0.0000 0.0000 0.7137 (multiplicity 1)
Se3 0.3333 0.6667 0.4420 (multiplicity 1)
Se4 0.3333 0.6667 0.5257 (multiplicity 1)

---

# 12
The following is a PBE-GGA calculation of Mg6Si5 after structural relaxation, from Materials Project.

## Properties
- Spin magnetization: 0.00 μB per formula unit
- Calculated density: 2.22 g cm⁻³

Lattice parameters (Å, degrees): 3.9782 6.9355 15.9114 101.15 96.79 90.53
Space group P1 (No. 1)
One atom of each set of equivalent atoms:
Mg1 0.0000 0.0000 0.0000 (multiplicity 1)
Mg2 0.0185 0.4729 0.0310 (multiplicity 1)
Mg3 0.0784 0.8804 0.1706 (multiplicity 1)
Mg4 0.1257 0.4724 0.2446 (multiplicity 1)
Mg5 0.2790 0.8009 0.5585 (multiplicity 1)
Mg6 0.4376 0.1519 0.8807 (multiplicity 1)
Mg7 0.4718 0.6859 0.9390 (multiplicity 1)
Mg8 0.5601 0.2331 0.1123 (multiplicity 1)
Mg9 0.7052 0.5504 0.4134 (multiplicity 1)
Mg10 0.7436 0.0754 0.4825 (multiplicity 1)
Mg11 0.8143 0.5191 0.6326 (multiplicity 1)
Mg12 0.8555 0.0601 0.7065 (multiplicity 1)
Si1 0.1850 0.1885 0.3627 (multiplicity 1)
Si2 0.1880 0.8319 0.3796 (multiplicity 1)
Si3 0.2495 0.3996 0.5055 (multiplicity 1)
Si4 0.3111 0.1999 0.6102 (multiplicity 1)
Si5 0.3699 0.7698 0.7377 (multiplicity 1)
Si6 0.3737 0.4122 0.7516 (multiplicity 1)
Si7 0.6405 0.7746 0.2784 (multiplicity 1)
Si8 0.6422 0.1520 0.2725 (multiplicity 1)
Si9 0.9134 0.8094 0.8343 (multiplicity 1)
Si10 0.9155 0.4341 0.8445 (multiplicity 1)

---

# 13
The following is a PBE-GGA calculation of Pr3Si2 after structural relaxation, from Materials Project.

## Properties
- Calculated density: 5.90 g cm⁻³

Lattice parameters (Å, degrees): 7.8824 7.8824 4.3416 90.00 90.00 90.00
Space group P4/mbm (No. 127)
One atom of each set of equivalent atoms:
Pr1 0.0000 0.0000 0.0000 (multiplicity 2)
Pr2 0.1775 0.3225 0.5000 (multiplicity 4)
Si1 0.1094 0.6094 0.0000 (multiplicity 4)

---

# 14
The following is a PBE-GGA calculation of LiMg14Ga after structural relaxation, from Materials Project.

## Properties
- Spin magnetization: 0.00 μB per formula unit
- Calculated density: 1.95 g cm⁻³

Lattice parameters (Å, degrees): 10.2950 6.3269 10.9022 90.00 90.00 90.00
Space group Amm2 (No. 38)
One atom of each set of equivalent atoms:
Li1 0.0000 0.0000 0.0000 (multiplicity 2)
Mg1 0.0000 0.2471 0.2481 (multiplicity 4)
Mg2 0.2450 0.2478 0.4179 (multiplicity 8)
Mg3 0.2464 0.0000 0.6645 (multiplicity 4)
Mg4 0.2496 0.0000 0.1659 (multiplicity 4)
Mg5 0.5000 0.0000 0.4990 (multiplicity 2)
Mg6 0.5000 0.0000 0.9988 (multiplicity 2)
Mg7 0.5000 0.2503 0.2499 (multiplicity 4)
Ga1 0.0000 0.0000 0.4986 (multiplicity 2)

---

# 15
The following is a PBE-GGA calculation of ZnInGaO4 after structural relaxation, from Materials Project.

## Properties
- Spin magnetization: 0.00 μB per formula unit
- Calculated density: 6.12 g cm⁻³

Lattice parameters (Å, degrees): 3.3607 3.3607 26.1402 90.00 90.00 120.00
Space group R3m (No. 160, hexagonal axes)
One atom of each set of equivalent atoms:
Zn1 0.0000 0.0000 0.0000 (multiplicity 3)
In1 0.0000 0.0000 0.7844 (multiplicity 3)
Ga1 0.0000 0.0000 0.5687 (multiplicity 3)
O1 0.0000 0.0000 0.0768 (multiplicity 3)
O2 0.0000 0.0000 0.4930 (multiplicity 3)
O3 0.0000 0.0000 0.6452 (multiplicity 3)
O4 0.0000 0.0000 0.9033 (multiplicity 3)

---

# 16
The following is a PBE-GGA calculation of KCl after structural relaxation, from Materials Project.

## Properties
- Spin magnetization: 0.00 μB per formula unit
- Calculated density: 2.19 g cm⁻³

Lattice parameters (Å, degrees): 3.8392 3.8392 3.8392 90.00 90.00 90.00
Space group Pm-3m (No. 221)
One atom of each set of equivalent atoms:
K1 0.0000 0.0000 0.0000 (multiplicity 1)
Cl1 0.5000 0.5000 0.5000 (multiplicity 1)

---

# 17
The following is a PBE-GGA calculation of LaSb2 after structural relaxation, from Materials Project.

## Properties
- Calculated density: 6.77 g cm⁻³

Lattice parameters (Å, degrees): 6.3613 6.3195 18.6715 90.00 90.00 90.00
Space group Cmce (No. 64)
One atom of each set of equivalent atoms:
La1 0.0000 0.1360 0.1098 (multiplicity 8)
Sb1 0.0000 0.1296 0.4368 (multiplicity 8)
Sb2 0.2500 0.1227 0.7500 (multiplicity 8)

---

# 18
The following is a PBE-GGA calculation of TlCu2Se2 after structural relaxation, from Materials Project.

## Properties
- Calculated density: 7.53 g cm⁻³

Lattice parameters (Å, degrees): 3.8691 3.8691 14.4131 90.00 90.00 90.00
Space group I4/mmm (No. 139)
One atom of each set of equivalent atoms:
Tl1 0.0000 0.0000 0.0000 (multiplicity 2)
Cu1 0.0000 0.5000 0.2500 (multiplicity 4)
Se1 0.0000 0.0000 0.3570 (multiplicity 4)

---

# 19
The following is a PBE-GGA calculation of Ca3Al2Ge2 after structural relaxation, from Materials Project.

## Properties
- Calculated density: 3.02 g cm⁻³

Lattice parameters (Å, degrees): 4.1267 4.5640 18.6654 90.00 90.00 90.00
Space group Immm (No. 71)
One atom of each set of equivalent atoms:
Ca1 0.0000 0.0000 0.0000 (multiplicity 2)
Ca2 0.0000 0.5000 0.3143 (multiplicity 4)
Al1 0.0000 0.0000 0.4319 (multiplicity 4)
Ge1 0.0000 0.5000 0.1461 (multiplicity 4)

---

# 20
The following is a PBE-GGA calculation of NpSc3 after structural relaxation, from Materials Project.

## Properties
- Spin magnetization: 5.06 μB per formula unit
- Calculated density: 6.36 g cm⁻³

Lattice parameters (Å, degrees): 4.5049 4.5049 9.5637 90.00 90.00 90.00
Space group I4/mmm (No. 139)
One atom of each set of equivalent atoms:
Np1 0.0000 0.0000 0.0000 (multiplicity 2)
Sc1 0.0000 0.0000 0.5000 (multiplicity 2)
Sc2 0.0000 0.5000 0.2500 (multiplicity 4)

---

Which formation energy from the elements belongs to each record? In order, -5.574, -5.188, -0.526, -3.348, -19.486, -11.699, -7.118, -9.786, -1.652, -6.008, -6.882, 1.338, -2.907, -0.516, -14.264, -4.361, -3.012, -2.193, -3.641, 1.351 eV/f.u..